Computed, not measured: an optimized crystal structure of Mg6MnO8 at the GGA+U level of DFT.

Energy relative to the elements: -2.85 eV/atom

Cell lengths 8.4772, 8.4772, 10.3824 Å; angles 114.09, 65.91, 90.00 degrees
With the nearest neighbours (Å) after each atom.
Element x y z (fractional)
1 O 0.8750 0.1250 0.7500  6 Mg 2.12
2 O 0.0000 0.7706 0.0000  1 Mn 1.94, 4 Mg 2.13
3 O 0.6250 0.3750 0.2500  6 Mg 2.12
4 O 0.3647 0.1353 0.2706  1 Mn 1.94, 4 Mg 2.13
5 O 0.2500 0.4794 0.5000  1 Mn 1.94, 4 Mg 2.13
6 O 0.6147 0.3853 0.7706  1 Mn 1.94, 4 Mg 2.13
7 O 0.6250 0.8750 0.2500  6 Mg 2.12
8 O 0.1353 0.3647 0.7294  1 Mn 1.94, 4 Mg 2.13
9 O 0.3750 0.6250 0.7500  6 Mg 2.12
10 O 0.5000 0.2706 0.0000  1 Mn 1.94, 4 Mg 2.13
11 O 0.6353 0.8647 0.7294  1 Mn 1.94, 4 Mg 2.13
12 O 0.4794 0.2500 0.5000  1 Mn 1.94, 4 Mg 2.13
13 O 0.8647 0.6353 0.2706  1 Mn 1.94, 4 Mg 2.13
14 O 0.1250 0.3750 0.2500  6 Mg 2.12
15 O 0.3750 0.1250 0.7500  6 Mg 2.12
16 O 0.3853 0.6147 0.2294  1 Mn 1.94, 4 Mg 2.13
17 O 0.0000 0.2294 0.0000  1 Mn 1.94, 4 Mg 2.13
18 O 0.0206 0.2500 0.5000  1 Mn 1.94, 4 Mg 2.13
19 O 0.1250 0.8750 0.2500  6 Mg 2.12
20 O 0.7706 0.0000 0.0000  1 Mn 1.94, 4 Mg 2.13
21 O 0.7500 0.5206 0.5000  1 Mn 1.94, 4 Mg 2.13
22 O 0.7500 0.9794 0.5000  1 Mn 1.94, 4 Mg 2.13
23 O 0.9794 0.7500 0.5000  1 Mn 1.94, 4 Mg 2.13
24 O 0.5000 0.7294 0.0000  1 Mn 1.94, 4 Mg 2.13
25 O 0.5206 0.7500 0.5000  1 Mn 1.94, 4 Mg 2.13
26 O 0.2706 0.5000 0.0000  1 Mn 1.94, 4 Mg 2.13
27 O 0.1147 0.8853 0.7706  1 Mn 1.94, 4 Mg 2.13
28 O 0.8750 0.6250 0.7500  6 Mg 2.12
29 O 0.8853 0.1147 0.2294  1 Mn 1.94, 4 Mg 2.13
30 O 0.2294 0.0000 0.0000  1 Mn 1.94, 4 Mg 2.13
31 O 0.2500 0.0206 0.5000  1 Mn 1.94, 4 Mg 2.13
32 O 0.7294 0.5000 0.0000  1 Mn 1.94, 4 Mg 2.13
33 Mg 0.6250 0.6250 0.2500  6 O 2.12-2.13
34 Mg 0.0000 0.5000 0.5000  6 O 2.12-2.13
35 Mg 0.8750 0.3750 0.2500  6 O 2.12-2.13
36 Mg 0.2500 0.7500 0.0000  6 O 2.12-2.13
37 Mg 0.5000 0.5000 0.5000  6 O 2.12-2.13
38 Mg 0.1250 0.1250 0.2500  6 O 2.12-2.13
39 Mg 0.3750 0.3750 0.7500  6 O 2.12-2.13
40 Mg 0.7500 0.7500 0.0000  6 O 2.12-2.13
41 Mg 0.3750 0.8750 0.7500  6 O 2.12-2.13
42 Mg 0.3750 0.3750 0.2500  6 O 2.12-2.13
43 Mg 0.6250 0.1250 0.7500  6 O 2.12-2.13
44 Mg 0.0000 0.0000 0.5000  6 O 2.12-2.13
45 Mg 0.6250 0.6250 0.7500  6 O 2.12-2.13
46 Mg 0.5000 0.0000 0.5000  6 O 2.12-2.13
47 Mg 0.3750 0.8750 0.2500  6 O 2.12-2.13
48 Mg 0.8750 0.3750 0.7500  6 O 2.12-2.13
49 Mg 0.1250 0.1250 0.7500  6 O 2.12-2.13
50 Mg 0.8750 0.8750 0.7500  6 O 2.12-2.13
51 Mg 0.6250 0.1250 0.2500  6 O 2.12-2.13
52 Mg 0.1250 0.6250 0.2500  6 O 2.12-2.13
53 Mg 0.2500 0.2500 0.0000  6 O 2.12-2.13
54 Mg 0.1250 0.6250 0.7500  6 O 2.12-2.13
55 Mg 0.7500 0.2500 0.0000  6 O 2.12-2.13
56 Mg 0.8750 0.8750 0.2500  6 O 2.12-2.13
57 Mn 0.2500 0.2500 0.5000  6 O 1.94
58 Mn 0.0000 0.0000 0.0000  6 O 1.94
59 Mn 0.5000 0.5000 0.0000  6 O 1.94
60 Mn 0.7500 0.7500 0.5000  6 O 1.94